No. 1
A plane-wave DFT calculation with meta-GGA r2SCAN was carried out for a geometry-optimized Rb3GdF6 structure.

Unit cell a=9.6330 b=9.6330 c=9.6330 alpha=90.00 beta=90.00 gamma=90.00
Last column: nearest neighbours and their distance in Å.
Space group Fm-3m (No. 225)
Unique sites:
Rb: 0.0000 0.0000 0.0000 (multiplicity 4)  6 F 2.62
Rb: 0.2500 0.2500 0.2500 (multiplicity 8)  12 F 3.41
Gd: 0.0000 0.0000 0.5000 (multiplicity 4)  6 F 2.20
F: 0.0000 0.0000 0.2715 (multiplicity 24)  1 Gd 2.20

Computed properties:
The value obtained for the formation energy is -3428 meV/atom. The volume is 223 Å³/f.u. The total energy is -13.82 eV/atom.

---

No. 2
A plane-wave DFT calculation with meta-GGA r2SCAN was carried out for a geometry-optimized Ge5F12 structure.

Unit cell a=8.3667 b=7.6166 c=7.7916 alpha=90.00 beta=93.66 gamma=90.00
Last column: nearest neighbours and their distance in Å.
Space group P2_1/c (No. 14)
Unique sites:
Ge: 0.0000 0.0000 0.0000 (multiplicity 2)  6 F 1.77-1.85
Ge: 0.2019 0.0552 0.6224 (multiplicity 4)  2 F 1.86-2.01
Ge: 0.3984 0.6310 0.6788 (multiplicity 4)  2 F 1.83-1.95
F: 0.0441 0.1423 0.1761 (multiplicity 4)  1 Ge 1.77
F: 0.1406 0.6598 0.5959 (multiplicity 4)  1 Ge 1.82
F: 0.1648 0.0999 0.8875 (multiplicity 4)  1 Ge 1.85
F: 0.3335 0.5590 0.8873 (multiplicity 4)  1 Ge 1.83
F: 0.3484 0.6261 0.2359 (multiplicity 4)  2 Ge 1.95-2.01
F: 0.3757 0.2042 0.6622 (multiplicity 4)  1 Ge 1.86

Computed properties:
The value obtained for the formation energy is -2288 meV/atom. The volume is 248 Å³/f.u. The total energy is -8.57 eV/atom.